Record 1
Density functional theory data (r²SCAN) for a relaxed structure of YbCuGe.

Uncorrected energy: -21.177 eV/atom
Energy relative to the elements: -0.761 eV/atom
Crystal system: hexagonal

a = 4.1991 Å, b = 4.1991 Å, c = 6.9669 Å
α = 90.00°, β = 90.00°, γ = 120.00°
Space group P6_3mc (No. 186)
Inequivalent atoms, fractional coordinates:
Yb 0.0000 0.0000 0.0000 (multiplicity 2)
Cu 0.3333 0.6667 0.2033 (multiplicity 2)
Ge 0.3333 0.6667 0.7792 (multiplicity 2)

***

Record 2
Density functional theory data (r²SCAN) for a relaxed structure of Na10Mg7Cl24.

Uncorrected energy: -7.213 eV/atom
Energy relative to the elements: -2.030 eV/atom
Crystal system: monoclinic

a = 13.858 Å, b = 7.591 Å, c = 38.148 Å
α = 90.00°, β = 90.00°, γ = 90.00°
Space group Pm (No. 6)
Inequivalent atoms, fractional coordinates:
Na 0.000 0.000 0.000 (multiplicity 1)
Na 0.000 0.000 0.497 (multiplicity 1)
Na 0.002 0.500 0.559 (multiplicity 1)
Na 0.004 0.000 0.621 (multiplicity 1)
Na 0.007 0.000 0.304 (multiplicity 1)
Na 0.007 0.500 0.057 (multiplicity 1)
Na 0.159 0.500 0.836 (multiplicity 1)
Na 0.161 0.000 0.898 (multiplicity 1)
Na 0.169 0.500 0.326 (multiplicity 1)
Na 0.169 0.500 0.644 (multiplicity 1)
Na 0.170 0.000 0.389 (multiplicity 1)
Na 0.174 0.500 0.453 (multiplicity 1)
Na 0.333 0.000 0.667 (multiplicity 1)
Na 0.335 0.500 0.728 (multiplicity 1)
Na 0.336 0.000 0.474 (multiplicity 1)
Na 0.336 0.000 0.791 (multiplicity 1)
Na 0.340 0.000 0.159 (multiplicity 1)
Na 0.346 0.000 0.283 (multiplicity 1)
Na 0.348 0.500 0.217 (multiplicity 1)
Na 0.497 0.500 0.814 (multiplicity 1)
Na 0.500 0.500 0.000 (multiplicity 1)
Na 0.500 0.500 0.497 (multiplicity 1)
Na 0.502 0.000 0.559 (multiplicity 1)
Na 0.504 0.500 0.621 (multiplicity 1)
Na 0.507 0.000 0.057 (multiplicity 1)
Na 0.507 0.500 0.304 (multiplicity 1)
Na 0.659 0.000 0.835 (multiplicity 1)
Na 0.660 0.500 0.898 (multiplicity 1)
Na 0.669 0.000 0.326 (multiplicity 1)
Na 0.669 0.000 0.644 (multiplicity 1)
Na 0.670 0.500 0.389 (multiplicity 1)
Na 0.674 0.000 0.453 (multiplicity 1)
Na 0.833 0.500 0.667 (multiplicity 1)
Na 0.835 0.000 0.728 (multiplicity 1)
Na 0.836 0.500 0.474 (multiplicity 1)
Na 0.836 0.500 0.791 (multiplicity 1)
Na 0.840 0.500 0.159 (multiplicity 1)
Na 0.846 0.500 0.283 (multiplicity 1)
Na 0.848 0.000 0.217 (multiplicity 1)
Na 0.997 0.000 0.814 (multiplicity 1)
Mg 0.085 0.250 0.728 (multiplicity 2)
Mg 0.091 0.245 0.218 (multiplicity 2)
Mg 0.174 0.500 0.134 (multiplicity 1)
Mg 0.250 0.258 0.057 (multiplicity 2)
Mg 0.252 0.250 0.559 (multiplicity 2)
Mg 0.332 0.000 0.974 (multiplicity 1)
Mg 0.411 0.247 0.898 (multiplicity 2)
Mg 0.422 0.250 0.390 (multiplicity 2)
Mg 0.585 0.250 0.728 (multiplicity 2)
Mg 0.591 0.255 0.218 (multiplicity 2)
Mg 0.674 0.000 0.134 (multiplicity 1)
Mg 0.750 0.242 0.057 (multiplicity 2)
Mg 0.752 0.250 0.559 (multiplicity 2)
Mg 0.832 0.500 0.974 (multiplicity 1)
Mg 0.911 0.252 0.898 (multiplicity 2)
Mg 0.922 0.250 0.390 (multiplicity 2)
Cl 0.011 0.000 0.691 (multiplicity 1)
Cl 0.014 0.500 0.691 (multiplicity 1)
Cl 0.024 0.000 0.183 (multiplicity 1)
Cl 0.027 0.500 0.179 (multiplicity 1)
Cl 0.056 0.243 0.861 (multiplicity 2)
Cl 0.067 0.242 0.352 (multiplicity 2)
Cl 0.106 0.258 0.596 (multiplicity 2)
Cl 0.109 0.263 0.097 (multiplicity 2)
Cl 0.154 0.000 0.765 (multiplicity 1)
Cl 0.158 0.500 0.765 (multiplicity 1)
Cl 0.166 0.500 0.254 (multiplicity 1)
Cl 0.167 0.000 0.256 (multiplicity 1)
Cl 0.179 0.500 0.522 (multiplicity 1)
Cl 0.181 0.000 0.521 (multiplicity 1)
Cl 0.182 0.500 0.022 (multiplicity 1)
Cl 0.185 0.000 0.019 (multiplicity 1)
Cl 0.231 0.259 0.691 (multiplicity 2)
Cl 0.237 0.273 0.179 (multiplicity 2)
Cl 0.267 0.236 0.937 (multiplicity 2)
Cl 0.275 0.242 0.426 (multiplicity 2)
Cl 0.323 0.500 0.096 (multiplicity 1)
Cl 0.323 0.500 0.596 (multiplicity 1)
Cl 0.325 0.000 0.091 (multiplicity 1)
Cl 0.326 0.000 0.596 (multiplicity 1)
Cl 0.336 0.000 0.861 (multiplicity 1)
Cl 0.339 0.500 0.861 (multiplicity 1)
Cl 0.348 0.000 0.353 (multiplicity 1)
Cl 0.351 0.500 0.352 (multiplicity 1)
Cl 0.395 0.228 0.018 (multiplicity 2)
Cl 0.397 0.241 0.522 (multiplicity 2)
Cl 0.439 0.258 0.765 (multiplicity 2)
Cl 0.446 0.256 0.256 (multiplicity 2)
Cl 0.479 0.000 0.936 (multiplicity 1)
Cl 0.484 0.500 0.932 (multiplicity 1)
Cl 0.493 0.000 0.427 (multiplicity 1)
Cl 0.495 0.500 0.426 (multiplicity 1)
Cl 0.511 0.500 0.691 (multiplicity 1)
Cl 0.514 0.000 0.690 (multiplicity 1)
Cl 0.524 0.500 0.183 (multiplicity 1)
Cl 0.527 0.000 0.179 (multiplicity 1)
Cl 0.556 0.256 0.861 (multiplicity 2)
Cl 0.567 0.258 0.352 (multiplicity 2)
Cl 0.606 0.242 0.596 (multiplicity 2)
Cl 0.609 0.237 0.097 (multiplicity 2)
Cl 0.654 0.500 0.766 (multiplicity 1)
Cl 0.658 0.000 0.765 (multiplicity 1)
Cl 0.666 0.000 0.254 (multiplicity 1)
Cl 0.667 0.500 0.256 (multiplicity 1)
Cl 0.679 0.000 0.522 (multiplicity 1)
Cl 0.681 0.500 0.521 (multiplicity 1)
Cl 0.682 0.000 0.022 (multiplicity 1)
Cl 0.685 0.500 0.019 (multiplicity 1)
Cl 0.731 0.241 0.691 (multiplicity 2)
Cl 0.737 0.227 0.179 (multiplicity 2)
Cl 0.767 0.264 0.937 (multiplicity 2)
Cl 0.775 0.258 0.426 (multiplicity 2)
Cl 0.823 0.000 0.096 (multiplicity 1)
Cl 0.823 0.000 0.596 (multiplicity 1)
Cl 0.825 0.500 0.091 (multiplicity 1)
Cl 0.826 0.500 0.596 (multiplicity 1)
Cl 0.836 0.500 0.861 (multiplicity 1)
Cl 0.839 0.000 0.861 (multiplicity 1)
Cl 0.848 0.500 0.353 (multiplicity 1)
Cl 0.851 0.000 0.352 (multiplicity 1)
Cl 0.895 0.272 0.018 (multiplicity 2)
Cl 0.897 0.259 0.522 (multiplicity 2)
Cl 0.939 0.242 0.765 (multiplicity 2)
Cl 0.946 0.244 0.256 (multiplicity 2)
Cl 0.979 0.500 0.936 (multiplicity 1)
Cl 0.983 0.000 0.932 (multiplicity 1)
Cl 0.993 0.500 0.427 (multiplicity 1)
Cl 0.995 0.000 0.426 (multiplicity 1)

***

Record 3
Density functional theory data (r²SCAN) for a relaxed structure of SmGa4Co.

Uncorrected energy: -15.292 eV/atom
Energy relative to the elements: -0.502 eV/atom
Crystal system: orthorhombic

a = 4.101 Å, b = 15.647 Å, c = 6.404 Å
α = 90.00°, β = 90.00°, γ = 90.00°
Space group Cmcm (No. 63)
Inequivalent atoms, fractional coordinates:
Sm 0.000 0.116 0.250 (multiplicity 4)
Ga 0.000 0.076 0.750 (multiplicity 4)
Ga 0.000 0.310 0.052 (multiplicity 8)
Ga 0.000 0.500 0.000 (multiplicity 4)
Co 0.000 0.223 0.750 (multiplicity 4)

***

Record 4
Density functional theory data (r²SCAN) for a relaxed structure of Er2Al3Co.

Uncorrected energy: -17.391 eV/atom
Energy relative to the elements: -0.510 eV/atom
Crystal system: hexagonal

a = 5.4284 Å, b = 5.4284 Å, c = 8.5603 Å
α = 90.00°, β = 90.00°, γ = 120.00°
Space group P6_3/mmc (No. 194)
Inequivalent atoms, fractional coordinates:
Er 0.3333 0.6667 0.0585 (multiplicity 4)
Al 0.1631 0.3263 0.7500 (multiplicity 6)
Co 0.0000 0.0000 0.0000 (multiplicity 2)

***

Record 5
Density functional theory data (r²SCAN) for a relaxed structure of Cs2ZnCl4.

Uncorrected energy: -13.863 eV/atom
Energy relative to the elements: -1.901 eV/atom
Crystal system: orthorhombic

a = 9.791 Å, b = 7.413 Å, c = 13.027 Å
α = 90.00°, β = 90.00°, γ = 90.00°
Space group Pnma (No. 62)
Inequivalent atoms, fractional coordinates:
Cs 0.018 0.250 0.175 (multiplicity 4)
Cs 0.137 0.750 0.405 (multiplicity 4)
Zn 0.234 0.750 0.078 (multiplicity 4)
Cl 0.004 0.750 0.095 (multiplicity 4)
Cl 0.178 0.001 0.654 (multiplicity 8)
Cl 0.184 0.250 0.415 (multiplicity 4)

***

Record 6
Density functional theory data (r²SCAN) for a relaxed structure of Rb2HfF6.

Uncorrected energy: -13.911 eV/atom
Energy relative to the elements: -3.714 eV/atom
Crystal system: trigonal

a = 6.0701 Å, b = 6.0701 Å, c = 4.7682 Å
α = 90.00°, β = 90.00°, γ = 120.00°
Space group P-3m1 (No. 164)
Inequivalent atoms, fractional coordinates:
Rb 0.3333 0.6667 0.1940 (multiplicity 2)
Hf 0.0000 0.0000 0.5000 (multiplicity 1)
F 0.1584 0.3168 0.7296 (multiplicity 6)

***

Record 7
Density functional theory data (r²SCAN) for a relaxed structure of KLuS2.

Uncorrected energy: -17.199 eV/atom
Energy relative to the elements: -2.158 eV/atom
Crystal system: trigonal

a = 3.9433 Å, b = 3.9433 Å, c = 21.8921 Å
α = 90.00°, β = 90.00°, γ = 120.00°
Space group R-3m (No. 166, hexagonal axes)
Inequivalent atoms, fractional coordinates:
K 0.0000 0.0000 0.0000 (multiplicity 3)
Lu 0.0000 0.0000 0.5000 (multiplicity 3)
S 0.0000 0.0000 0.2330 (multiplicity 6)

***

Record 8
Density functional theory data (r²SCAN) for a relaxed structure of SmBr3.

Uncorrected energy: -19.541 eV/atom
Energy relative to the elements: -2.163 eV/atom
Crystal system: orthorhombic

a = 4.052 Å, b = 13.175 Å, c = 9.177 Å
α = 90.00°, β = 90.00°, γ = 90.00°
Space group Cmcm (No. 63)
Inequivalent atoms, fractional coordinates:
Sm 0.000 0.242 0.250 (multiplicity 4)
Br 0.000 0.149 0.567 (multiplicity 8)
Br 0.000 0.412 0.750 (multiplicity 4)

***

Record 9
Density functional theory data (r²SCAN) for a relaxed structure of CaMg15C16O48.

Uncorrected energy: -8.653 eV/atom
Energy relative to the elements: -2.210 eV/atom
Crystal system: trigonal

a = 9.3193 Å, b = 9.3193 Å, c = 30.0935 Å
α = 90.00°, β = 90.00°, γ = 120.00°
Space group R-3 (No. 148, hexagonal axes)
Inequivalent atoms, fractional coordinates:
Ca 0.0000 0.0000 0.0000 (multiplicity 3)
Mg 0.0000 0.0000 0.2496 (multiplicity 6)
Mg 0.0000 0.0000 0.5000 (multiplicity 3)
Mg 0.0000 0.5000 0.0000 (multiplicity 9)
Mg 0.0000 0.5000 0.5000 (multiplicity 9)
Mg 0.0025 0.4993 0.2484 (multiplicity 18)
C 0.0000 0.0000 0.1263 (multiplicity 6)
C 0.0000 0.0000 0.3754 (multiplicity 6)
C 0.9996 0.5001 0.1253 (multiplicity 18)
C 0.0055 0.5001 0.3769 (multiplicity 18)
O 0.0000 0.1385 0.3755 (multiplicity 18)
O 0.0007 0.6381 0.8742 (multiplicity 18)
O 0.0015 0.8623 0.1264 (multiplicity 18)
O 0.0018 0.3650 0.6255 (multiplicity 18)
O 0.0254 0.1877 0.7083 (multiplicity 18)
O 0.0271 0.1953 0.2087 (multiplicity 18)
O 0.0272 0.8226 0.9527 (multiplicity 18)
O 0.0285 0.8339 0.4588 (multiplicity 18)

***

Record 10
Density functional theory data (r²SCAN) for a relaxed structure of LaPrC4.

Uncorrected energy: -16.792 eV/atom
Energy relative to the elements: -0.303 eV/atom
Crystal system: tetragonal

a = 3.913 Å, b = 3.913 Å, c = 6.546 Å
α = 90.00°, β = 90.00°, γ = 90.00°
Space group P4/mmm (No. 123)
Inequivalent atoms, fractional coordinates:
La 0.000 0.000 0.000 (multiplicity 1)
Pr 0.500 0.500 0.500 (multiplicity 1)
C 0.000 0.000 0.401 (multiplicity 2)
C 0.500 0.500 0.098 (multiplicity 2)

***

Record 11
Density functional theory data (r²SCAN) for a relaxed structure of US2.

Uncorrected energy: -33.744 eV/atom
Energy relative to the elements: -1.741 eV/atom
Crystal system: monoclinic

a = 11.941 Å, b = 10.731 Å, c = 5.270 Å
α = 90.00°, β = 116.16°, γ = 90.00°
Space group C2 (No. 5)
Inequivalent atoms, fractional coordinates:
U 0.000 0.000 0.000 (multiplicity 2)
U 0.164 0.338 0.415 (multiplicity 4)
U 0.164 0.662 0.913 (multiplicity 4)
S 0.000 0.500 0.000 (multiplicity 2)
S 0.000 0.500 0.500 (multiplicity 2)
S 0.082 0.218 0.836 (multiplicity 4)
S 0.082 0.782 0.327 (multiplicity 4)
S 0.218 0.082 0.464 (multiplicity 4)
S 0.218 0.918 0.972 (multiplicity 4)

***

Please write out number 6 again, unchanged.
Density functional theory data (r²SCAN) for a relaxed structure of Rb2HfF6.

Uncorrected energy: -13.911 eV/atom
Energy relative to the elements: -3.714 eV/atom
Crystal system: trigonal

a = 6.0701 Å, b = 6.0701 Å, c = 4.7682 Å
α = 90.00°, β = 90.00°, γ = 120.00°
Space group P-3m1 (No. 164)
Inequivalent atoms, fractional coordinates:
Rb 0.3333 0.6667 0.1940 (multiplicity 2)
Hf 0.0000 0.0000 0.5000 (multiplicity 1)
F 0.1584 0.3168 0.7296 (multiplicity 6)